The following is a DFT calculation (PBE) of crystalline YUPd6 at its relaxed geometry.

Cell lengths 4.129, 4.129, 8.278 Å; angles 90.00, 90.00, 90.00 degrees
Space group P4/mmm (No. 123)
Inequivalent atoms, fractional coordinates:
Y1 0.000 0.000 0.000 (multiplicity 1)
U1 0.000 0.000 0.500 (multiplicity 1)
Pd1 0.000 0.500 0.256 (multiplicity 4)
Pd2 0.500 0.500 0.000 (multiplicity 1)
Pd3 0.500 0.500 0.500 (multiplicity 1)

Computed properties:
E_tot   -54.71 eV for the cell shown